No. 1
Here is crystalline Li4Co5SnO12 at its relaxed geometry from the Materials Project database. Energies are from PBE+U.

POSCAR file:
```
Li4Co5SnO12
1.0
2.4926 4.3289 -0.3989
4.6896 -0.7077 9.7233
7.6543 -4.4054 0.0013
Li Co Sn O
8 10 2 24
Direct
0.0444 0.7437 0.4612
0.5398 0.7465 0.9599
0.4561 0.2563 0.7054
0.9589 0.2535 0.2058
0.5408 0.7465 0.2945
0.0438 0.7437 0.7951
0.9597 0.2536 0.5406
0.4556 0.2564 0.0392
0.7501 0.5000 0.2501
0.2499 0.5001 0.7501
0.2502 0.5000 0.4108
0.7499 0.4999 0.9141
0.7502 0.5000 0.5862
0.2500 0.4999 0.0895
0.4995 0.0005 0.1663
0.0005 0.9995 0.6669
0.4995 0.0005 0.8327
0.0005 0.9995 0.3332
0.9993 0.0003 0.9997
0.5009 0.9997 0.5000
0.9152 0.6090 0.6955
0.4036 0.5998 0.2001
0.5850 0.3912 0.8046
0.0966 0.4001 0.3002
0.3365 0.1084 0.9456
0.8387 0.1075 0.4460
0.6613 0.8925 0.0535
0.1634 0.8916 0.5539
0.3029 0.1073 0.6240
0.8032 0.1080 0.1246
0.1971 0.8927 0.2313
0.6968 0.8920 0.7326
0.8032 0.1080 0.7669
0.3029 0.1073 0.2682
0.6968 0.8920 0.3750
0.1971 0.8927 0.8756
0.1071 0.3950 0.6171
0.5882 0.3970 0.1379
0.5885 0.3972 0.4652
0.1068 0.3950 0.9882
0.3933 0.6050 0.5120
0.9116 0.6027 0.0350
0.9119 0.6029 0.3624
0.3930 0.6050 0.8832
```

Computed properties:
Offset from the most stable computed form (eV per atom): 0.039
Magnetic moment (μB/f.u.): 5.043
Energy relative to the elements (eV per atom): -1.64
Space group: P-1 (2)

=====

No. 2
Here is crystalline Li2MnPCO7 at its relaxed geometry from the Materials Project database. Energies are from PBE+U.

POSCAR file:
```
Li2MnPCO7
1.0
5.0243 0.0000 0.0000
-0.0093 6.4602 0.0000
-0.5489 -0.1233 8.4312
Li Mn P C O
4 2 2 2 14
Direct
0.7441 0.9609 0.2651
0.7442 0.5328 0.2637
0.2542 0.4686 0.7325
0.7755 0.2355 0.8919
0.1929 0.2482 0.3363
0.8094 0.7540 0.6756
0.2666 0.7455 0.4166
0.7182 0.2556 0.5843
0.2905 0.2592 0.0441
0.7256 0.7422 0.9595
0.0407 0.2495 0.0695
0.6562 0.7440 0.1007
0.4584 0.2451 0.1746
0.1576 0.9398 0.3271
0.1579 0.5575 0.3137
0.8349 0.2490 0.4164
0.5773 0.7465 0.4348
0.4154 0.2874 0.5537
0.1595 0.7355 0.5841
0.7898 0.0645 0.6832
0.8411 0.4342 0.6902
0.5441 0.7363 0.8369
0.3876 0.2829 0.9114
0.9680 0.7493 0.9181
```

Computed properties:
Offset from the most stable computed form (eV per atom): 0.018
Magnetic moment (μB/f.u.): 4.001
Energy relative to the elements (eV per atom): -2.33
Space group: P1 (1)

=====

- Which value of offset from the most stable computed form does entry 2 give?
  0.018 eV per atom